## ZnWO4 (GGA+U)

Data for a relaxed ZnWO4 crystal.

```
ZnWO4
1.0
-2.422 2.634 3.138
0.781 -3.612 3.395
4.974 2.618 1.641
W O Zn
2 8 2
Cartesian
4.302 1.259 2.203
1.453 -2.252 2.832
0.510 0.776 4.956
-1.320 2.111 2.860
1.408 3.261 3.684
0.349 -0.725 2.325
2.823 0.865 3.217
1.925 -1.620 4.489
4.654 -0.470 5.313
2.984 2.366 5.848
0.586 1.257 2.946
2.747 0.384 5.227
```

Distance to the lowest polymorph of the same formula = 0.000 eV per atom
Calculated density = 7.4 g/cm³
SG = P2/c, No. 13
Crystal system = monoclinic
Electronic total energy = -6.526 eV/atom